Arrangement a

## U2AsSe (PBE)

Data for a relaxed U2AsSe crystal.

Lattice parameters (Å, degrees): 7.078 7.078 5.775 114.02 114.02 48.20
Fractional coordinates of all 8 atoms:
U1 0.124 0.124 0.370
U2 0.374 0.374 0.120
U3 0.626 0.626 0.880
U4 0.876 0.876 0.630
As1 0.125 0.125 0.870
As2 0.875 0.875 0.130
Se1 0.375 0.375 0.627
Se2 0.625 0.625 0.373

Arrangement b

## U2AsSe (PBE)

Data for a relaxed U2AsSe crystal.

Lattice parameters (Å, degrees): 3.517 3.517 7.128 90.00 90.00 90.00
Fractional coordinates of all 4 atoms:
U1 0.000 0.000 0.243
U2 0.000 0.000 0.757
As1 0.500 0.500 0.000
Se1 0.500 0.500 0.500

Question: which arrangement is favored energetically? Ranking from most to least stable: arrangement a, arrangement b.

Arrangement a

## Si3As (PBE)

Data for a relaxed Si3As crystal.

Lattice parameters (Å, degrees): 4.510 4.510 4.510 60.00 60.00 60.00
Fractional coordinates of all 4 atoms:
Si1 0.000 0.000 0.000
Si2 0.250 0.250 0.250
Si3 0.750 0.750 0.750
As1 0.500 0.500 0.500

Arrangement b

## Si3As (PBE)

Data for a relaxed Si3As crystal.

Lattice parameters (Å, degrees): 5.445 5.445 5.034 90.00 90.00 120.00
Fractional coordinates of all 8 atoms:
Si1 0.162 0.323 0.250
Si2 0.162 0.838 0.250
Si3 0.323 0.162 0.750
Si4 0.677 0.838 0.250
Si5 0.838 0.162 0.750
Si6 0.838 0.677 0.750
As1 0.333 0.667 0.750
As2 0.667 0.333 0.250

Question: which arrangement is favored energetically? Ranking from most to least stable: arrangement a, arrangement b.

Arrangement a

## TcAs3 (PBE)

Data for a relaxed TcAs3 crystal.

Lattice parameters (Å, degrees): 4.549 4.549 4.549 60.00 60.00 60.00
Fractional coordinates of all 4 atoms:
Tc1 0.000 0.000 0.000
As1 0.250 0.250 0.250
As2 0.500 0.500 0.500
As3 0.750 0.750 0.750

Arrangement b

## TcAs3 (PBE)

Data for a relaxed TcAs3 crystal.

Lattice parameters (Å, degrees): 4.629 4.629 4.629 123.24 123.24 84.47
Fractional coordinates of all 4 atoms:
Tc1 0.000 0.000 0.000
As1 0.250 0.750 0.500
As2 0.500 0.500 0.000
As3 0.750 0.250 0.500

Question: which arrangement is favored energetically? Ranking from most to least stable: arrangement b, arrangement a.

Arrangement a

## Te3As2 (PBE)

Data for a relaxed Te3As2 crystal.

Lattice parameters (Å, degrees): 10.374 10.374 10.374 22.73 22.73 22.73
Fractional coordinates of all 5 atoms:
Te1 0.000 0.000 0.000
Te2 0.219 0.219 0.219
Te3 0.781 0.781 0.781
As1 0.395 0.395 0.395
As2 0.605 0.605 0.605

Arrangement b

## Te3As2 (PBE)

Data for a relaxed Te3As2 crystal.

Lattice parameters (Å, degrees): 7.772 7.772 10.141 95.39 95.39 30.35
Fractional coordinates of all 10 atoms:
Te1 0.042 0.042 0.288
Te2 0.218 0.218 0.664
Te3 0.370 0.370 0.031
Te4 0.630 0.630 0.969
Te5 0.782 0.782 0.336
Te6 0.958 0.958 0.712
As1 0.205 0.205 0.141
As2 0.375 0.375 0.560
As3 0.625 0.625 0.440
As4 0.795 0.795 0.859

Question: which arrangement is favored energetically? Ranking from most to least stable: arrangement b, arrangement a.

Arrangement a

## Ti3As (PBE)

Data for a relaxed Ti3As crystal.

Lattice parameters (Å, degrees): 10.167 10.167 5.117 90.00 90.00 90.00
Fractional coordinates of all 32 atoms:
Ti1 0.034 0.932 0.245
Ti2 0.068 0.534 0.745
Ti3 0.107 0.278 0.036
Ti4 0.145 0.831 0.715
Ti5 0.169 0.645 0.215
Ti6 0.222 0.107 0.464
Ti7 0.278 0.393 0.464
Ti8 0.331 0.855 0.215
Ti9 0.355 0.669 0.715
Ti10 0.393 0.222 0.036
Ti11 0.432 0.966 0.745
Ti12 0.466 0.568 0.245
Ti13 0.534 0.432 0.755
Ti14 0.568 0.034 0.255
Ti15 0.607 0.778 0.964
Ti16 0.645 0.331 0.285
Ti17 0.669 0.145 0.785
Ti18 0.722 0.607 0.536
Ti19 0.778 0.893 0.536
Ti20 0.831 0.355 0.785
Ti21 0.855 0.169 0.285
Ti22 0.893 0.722 0.964
Ti23 0.932 0.466 0.255
Ti24 0.966 0.068 0.755
As1 0.044 0.291 0.538
As2 0.209 0.044 0.962
As3 0.291 0.456 0.962
As4 0.456 0.209 0.538
As5 0.544 0.791 0.462
As6 0.709 0.544 0.038
As7 0.791 0.956 0.038
As8 0.956 0.709 0.462

Arrangement b

## Ti3As (PBE)

Data for a relaxed Ti3As crystal.

Lattice parameters (Å, degrees): 5.022 5.022 5.022 90.00 90.00 90.00
Fractional coordinates of all 8 atoms:
Ti1 0.000 0.250 0.500
Ti2 0.000 0.750 0.500
Ti3 0.250 0.500 0.000
Ti4 0.500 0.000 0.250
Ti5 0.500 0.000 0.750
Ti6 0.750 0.500 0.000
As1 0.000 0.000 0.000
As2 0.500 0.500 0.500

Question: which arrangement is favored energetically? Ranking from most to least stable: arrangement a, arrangement b.

Arrangement a

## V4As3 (PBE)

Data for a relaxed V4As3 crystal.

Lattice parameters (Å, degrees): 7.055 7.055 18.020 90.00 90.00 152.16
Fractional coordinates of all 28 atoms:
V1 0.000 0.000 0.000
V2 0.000 0.000 0.500
V3 0.058 0.942 0.750
V4 0.267 0.733 0.663
V5 0.267 0.733 0.837
V6 0.336 0.664 0.028
V7 0.336 0.664 0.472
V8 0.465 0.535 0.617
V9 0.465 0.535 0.883
V10 0.535 0.465 0.117
V11 0.535 0.465 0.383
V12 0.664 0.336 0.528
V13 0.664 0.336 0.972
V14 0.733 0.267 0.163
V15 0.733 0.267 0.337
V16 0.942 0.058 0.250
As1 0.098 0.902 0.618
As2 0.098 0.902 0.882
As3 0.160 0.840 0.076
As4 0.160 0.840 0.424
As5 0.303 0.697 0.250
As6 0.419 0.581 0.750
As7 0.581 0.419 0.250
As8 0.697 0.303 0.750
As9 0.840 0.160 0.576
As10 0.840 0.160 0.924
As11 0.902 0.098 0.118
As12 0.902 0.098 0.382

Arrangement b

## V4As3 (PBE)

Data for a relaxed V4As3 crystal.

Lattice parameters (Å, degrees): 7.149 7.149 9.100 100.47 100.47 27.27
Fractional coordinates of all 14 atoms:
V1 0.000 0.000 0.000
V2 0.000 0.000 0.500
V3 0.226 0.226 0.690
V4 0.336 0.336 0.052
V5 0.441 0.441 0.771
V6 0.559 0.559 0.229
V7 0.664 0.664 0.948
V8 0.774 0.774 0.310
As1 0.071 0.071 0.768
As2 0.175 0.175 0.154
As3 0.357 0.357 0.507
As4 0.643 0.643 0.493
As5 0.825 0.825 0.846
As6 0.929 0.929 0.232

Question: which arrangement is favored energetically? Ranking from most to least stable: arrangement a, arrangement b.

Arrangement a

## Zr8As5 (PBE)

Data for a relaxed Zr8As5 crystal.

Lattice parameters (Å, degrees): 10.238 3.749 28.826 90.00 90.84 90.00
Fractional coordinates of all 52 atoms:
Zr1 0.000 0.000 0.000
Zr2 0.002 0.000 0.443
Zr3 0.002 0.500 0.735
Zr4 0.017 0.500 0.917
Zr5 0.085 0.000 0.172
Zr6 0.162 0.500 0.627
Zr7 0.180 0.500 0.379
Zr8 0.211 0.500 0.505
Zr9 0.248 0.500 0.011
Zr10 0.250 0.000 0.283
Zr11 0.252 0.000 0.784
Zr12 0.328 0.500 0.882
Zr13 0.336 0.500 0.127
Zr14 0.407 0.000 0.670
Zr15 0.497 0.500 0.235
Zr16 0.497 0.500 0.419
Zr17 0.500 0.000 0.500
Zr18 0.503 0.500 0.581
Zr19 0.503 0.500 0.765
Zr20 0.593 0.000 0.330
Zr21 0.664 0.500 0.873
Zr22 0.672 0.500 0.118
Zr23 0.748 0.000 0.216
Zr24 0.750 0.000 0.717
Zr25 0.752 0.500 0.989
Zr26 0.789 0.500 0.495
Zr27 0.820 0.500 0.621
Zr28 0.838 0.500 0.373
Zr29 0.915 0.000 0.828
Zr30 0.983 0.500 0.083
Zr31 0.998 0.000 0.557
Zr32 0.998 0.500 0.265
As1 0.020 0.000 0.338
As2 0.108 0.500 0.829
As3 0.183 0.000 0.080
As4 0.221 0.000 0.941
As5 0.238 0.500 0.214
As6 0.262 0.500 0.715
As7 0.287 0.000 0.439
As8 0.298 0.000 0.575
As9 0.401 0.500 0.329
As10 0.482 0.000 0.837
As11 0.518 0.000 0.163
As12 0.599 0.500 0.671
As13 0.702 0.000 0.425
As14 0.713 0.000 0.561
As15 0.738 0.500 0.285
As16 0.762 0.500 0.786
As17 0.779 0.000 0.059
As18 0.817 0.000 0.920
As19 0.892 0.500 0.171
As20 0.980 0.000 0.662

Arrangement b

## Zr8As5 (PBE)

Data for a relaxed Zr8As5 crystal.

Lattice parameters (Å, degrees): 3.735 10.213 28.801 90.00 90.00 90.00
Fractional coordinates of all 52 atoms:
Zr1 0.000 0.002 0.018
Zr2 0.000 0.163 0.906
Zr3 0.000 0.249 0.735
Zr4 0.000 0.254 0.178
Zr5 0.000 0.339 0.565
Zr6 0.000 0.497 0.451
Zr7 0.000 0.503 0.951
Zr8 0.000 0.661 0.065
Zr9 0.000 0.746 0.678
Zr10 0.000 0.751 0.235
Zr11 0.000 0.837 0.406
Zr12 0.000 0.998 0.518
Zr13 0.500 0.024 0.242
Zr14 0.500 0.074 0.115
Zr15 0.500 0.089 0.361
Zr16 0.500 0.242 0.653
Zr17 0.500 0.245 0.470
Zr18 0.500 0.255 0.000
Zr19 0.500 0.259 0.818
Zr20 0.500 0.415 0.108
Zr21 0.500 0.424 0.354
Zr22 0.500 0.480 0.228
Zr23 0.500 0.520 0.728
Zr24 0.500 0.576 0.854
Zr25 0.500 0.585 0.608
Zr26 0.500 0.741 0.318
Zr27 0.500 0.745 0.500
Zr28 0.500 0.755 0.970
Zr29 0.500 0.758 0.153
Zr30 0.500 0.911 0.861
Zr31 0.500 0.926 0.615
Zr32 0.500 0.976 0.742
As1 0.000 0.036 0.674
As2 0.000 0.058 0.811
As3 0.000 0.232 0.074
As4 0.000 0.268 0.398
As5 0.000 0.446 0.660
As6 0.000 0.462 0.796
As7 0.000 0.538 0.296
As8 0.000 0.554 0.160
As9 0.000 0.732 0.898
As10 0.000 0.768 0.574
As11 0.000 0.942 0.311
As12 0.000 0.964 0.174
As13 0.500 0.013 0.949
As14 0.500 0.146 0.563
As15 0.500 0.357 0.906
As16 0.500 0.486 0.520
As17 0.500 0.514 0.020
As18 0.500 0.643 0.406
As19 0.500 0.854 0.063
As20 0.500 0.987 0.449

Question: which arrangement is favored energetically? Ranking from most to least stable: arrangement a, arrangement b.

Arrangement a

## Er5BiAu2 (PBE)

Data for a relaxed Er5BiAu2 crystal.

Lattice parameters (Å, degrees): 8.663 8.663 8.663 124.29 124.29 82.72
Fractional coordinates of all 16 atoms:
Er1 0.000 0.000 0.000
Er2 0.014 0.514 0.809
Er3 0.205 0.014 0.500
Er4 0.295 0.795 0.809
Er5 0.486 0.295 0.500
Er6 0.500 0.500 0.000
Er7 0.514 0.705 0.500
Er8 0.705 0.205 0.191
Er9 0.795 0.986 0.500
Er10 0.986 0.486 0.191
Bi1 0.250 0.250 0.000
Bi2 0.750 0.750 0.000
Au1 0.139 0.361 0.500
Au2 0.361 0.861 0.222
Au3 0.639 0.139 0.778
Au4 0.861 0.639 0.500

Arrangement b

## Er5BiAu2 (PBE)

Data for a relaxed Er5BiAu2 crystal.

Lattice parameters (Å, degrees): 10.127 10.127 10.127 137.17 137.17 62.18
Fractional coordinates of all 16 atoms:
Er1 0.000 0.000 0.000
Er2 0.000 0.500 0.172
Er3 0.000 0.500 0.828
Er4 0.172 0.000 0.500
Er5 0.328 0.828 0.828
Er6 0.500 0.328 0.500
Er7 0.500 0.500 0.000
Er8 0.500 0.672 0.500
Er9 0.672 0.172 0.172
Er10 0.828 0.000 0.500
Bi1 0.250 0.250 0.000
Bi2 0.750 0.750 0.000
Au1 0.128 0.628 0.757
Au2 0.372 0.128 0.500
Au3 0.628 0.872 0.500
Au4 0.872 0.372 0.243

Question: which arrangement is favored energetically? Ranking from most to least stable: arrangement a, arrangement b.